Entry 1:
DFT (PBE-GGA) results for a relaxed Mg16Si8HO32 crystal.

Uncorrected energy   -6.765 eV per atom
Magnetization   0.0 μB/f.u.
Volume   611.3 Å³/f.u.
Energy relative to the lowest polymorph listed for this composition   0.013 eV/atom

Lattice parameters (Å, degrees): 6.1030 9.6357 10.3973 90.16 90.65 90.73
Sites, in units of the cell vectors:
Mg1 0.0061 0.9984 0.9986
Mg2 0.0018 0.2479 0.5023
Mg3 0.5029 0.9943 0.9897
Mg4 0.5026 0.2435 0.5138
Mg5 0.2262 0.5081 0.2745
Mg6 0.7895 0.2363 0.2137
Mg7 0.7523 0.0014 0.7219
Mg8 0.2500 0.2547 0.7802
Mg9 0.9986 0.5025 0.9968
Mg10 0.9968 0.7496 0.5006
Mg11 0.4991 0.5011 0.9994
Mg12 0.4967 0.7499 0.4997
Mg13 0.2500 0.9950 0.2818
Mg14 0.7470 0.7481 0.2202
Mg15 0.7476 0.5042 0.7218
Mg16 0.2502 0.7525 0.7764
Si1 0.2548 0.2188 0.0964
Si2 0.7442 0.4614 0.4030
Si3 0.7508 0.2859 0.9051
Si4 0.2477 0.0341 0.5975
Si5 0.2519 0.7168 0.0930
Si6 0.7505 0.9640 0.4053
Si7 0.7529 0.7848 0.9038
Si8 0.2466 0.5350 0.5944
H1 0.4787 0.2986 0.2792
O1 0.2407 0.3883 0.0924
O2 0.7533 0.1345 0.4072
O3 0.7543 0.1159 0.9090
O4 0.2483 0.3651 0.5937
O5 0.2515 0.1092 0.4517
O6 0.7502 0.3595 0.0521
O7 0.7466 0.3885 0.5477
O8 0.2690 0.1412 0.9534
O9 0.0454 0.1322 0.1602
O10 0.9497 0.3873 0.3289
O11 0.5365 0.3611 0.8354
O12 0.4654 0.1083 0.6684
O13 0.9681 0.3601 0.8376
O14 0.0342 0.1097 0.6648
O15 0.4642 0.1701 0.1886
O16 0.5038 0.3855 0.3400
O17 0.2588 0.8869 0.0921
O18 0.7404 0.6300 0.4037
O19 0.7500 0.6151 0.9059
O20 0.2480 0.8645 0.5930
O21 0.2427 0.6084 0.4476
O22 0.7509 0.8597 0.0499
O23 0.7488 0.8892 0.5511
O24 0.2509 0.6420 0.9472
O25 0.0325 0.6441 0.1610
O26 0.9648 0.8886 0.3377
O27 0.5378 0.8585 0.8333
O28 0.4656 0.6102 0.6615
O29 0.9690 0.8604 0.8366
O30 0.0323 0.6093 0.6625
O31 0.4629 0.6393 0.1640
O32 0.5332 0.8899 0.3350

Entry 2:
DFT (PBE-GGA) results for a relaxed K6U5As2O23 crystal.

Uncorrected energy   -7.738 eV per atom
Magnetization   0.0 μB/f.u.
Volume   630.2 Å³/f.u.

Lattice parameters (Å, degrees): 24.8836 7.1066 7.2073 81.45 90.00 90.00
Sites, in units of the cell vectors:
K1 0.3850 0.3676 0.7683
K2 0.8850 0.6324 0.7317
K3 0.6150 0.6324 0.2317
K4 0.1150 0.3676 0.2683
K5 0.5405 0.5459 0.7345
K6 0.0405 0.4541 0.7655
K7 0.4595 0.4541 0.2655
K8 0.9595 0.5459 0.2345
K9 0.2861 0.2436 0.3040
K10 0.7861 0.7564 0.1960
K11 0.7139 0.7564 0.6960
K12 0.2139 0.2436 0.8040
U1 0.4190 0.9060 0.5158
U2 0.9190 0.0940 0.9842
U3 0.5810 0.0940 0.4842
U4 0.0810 0.9060 0.0158
U5 0.3565 0.8471 0.0295
U6 0.8565 0.1529 0.4705
U7 0.6435 0.1529 0.9705
U8 0.1435 0.8471 0.5295
U9 0.5000 0.0000 0.0000
U10 0.0000 0.0000 0.5000
As1 0.2954 0.7141 0.5466
As2 0.7954 0.2859 0.9534
As3 0.7046 0.2859 0.4534
As4 0.2046 0.7141 0.0466
O1 0.2890 0.4755 0.5804
O2 0.7890 0.5245 0.9196
O3 0.7110 0.5245 0.4196
O4 0.2110 0.4755 0.0804
O5 0.2367 0.8390 0.5288
O6 0.7367 0.1610 0.9712
O7 0.7633 0.1610 0.4712
O8 0.2633 0.8390 0.0288
O9 0.3359 0.8058 0.3558
O10 0.8359 0.1942 0.1442
O11 0.6641 0.1942 0.6442
O12 0.1641 0.8058 0.8558
O13 0.3373 0.7981 0.7107
O14 0.8373 0.2019 0.7893
O15 0.6627 0.2019 0.2893
O16 0.1627 0.7981 0.2107
O17 0.3935 0.1568 0.4659
O18 0.8935 0.8432 0.0341
O19 0.6065 0.8432 0.5341
O20 0.1065 0.1568 0.9659
O21 0.4411 0.6502 0.5630
O22 0.9411 0.3498 0.9370
O23 0.5589 0.3498 0.4370
O24 0.0589 0.6502 0.0630
O25 0.5000 0.0000 0.5000
O26 0.0000 0.0000 0.0000
O27 0.4281 0.9359 0.8284
O28 0.9281 0.0641 0.6716
O29 0.5719 0.0641 0.1716
O30 0.0719 0.9359 0.3284
O31 0.5688 0.0997 0.8011
O32 0.0688 0.9003 0.6989
O33 0.4312 0.9003 0.1989
O34 0.9312 0.0997 0.3011
O35 0.3397 0.1034 0.0080
O36 0.8397 0.8966 0.4920
O37 0.6603 0.8966 0.9920
O38 0.1603 0.1034 0.5080
O39 0.3694 0.5867 0.0622
O40 0.8694 0.4133 0.4378
O41 0.6306 0.4133 0.9378
O42 0.1306 0.5867 0.5622
O43 0.5216 0.7447 0.0234
O44 0.0216 0.2553 0.4766
O45 0.4784 0.2553 0.9766
O46 0.9784 0.7447 0.5234

Entry 3:
DFT (PBE-GGA) results for a relaxed Ti2Sn3O10 crystal.

Uncorrected energy   -7.319 eV per atom
Magnetization   0.0 μB/f.u.
Volume   178.1 Å³/f.u.

Lattice parameters (Å, degrees): 4.7604 4.7604 15.7227 90.00 90.00 90.09
Sites, in units of the cell vectors:
Ti1 0.0000 0.0000 0.9959
Ti2 0.0000 0.0000 0.5970
Ti3 0.0000 0.0000 0.4035
Ti4 0.5000 0.5000 0.9031
Sn1 0.0000 0.0000 0.8013
Sn2 0.0000 0.0000 0.2000
Sn3 0.5000 0.5000 0.3020
Sn4 0.5000 0.5000 0.5008
Sn5 0.5000 0.5000 0.7005
Sn6 0.5000 0.5000 0.0956
O1 0.8143 0.1857 0.5004
O2 0.8017 0.1983 0.9054
O3 0.8099 0.1901 0.6957
O4 0.8100 0.1900 0.3058
O5 0.8099 0.1901 0.0941
O6 0.3013 0.3013 0.9932
O7 0.3096 0.3096 0.8052
O8 0.3061 0.3061 0.1991
O9 0.2968 0.2968 0.5994
O10 0.2968 0.2968 0.4019
O11 0.6987 0.6987 0.9932
O12 0.6904 0.6904 0.8052
O13 0.7032 0.7032 0.5994
O14 0.7032 0.7032 0.4019
O15 0.6939 0.6939 0.1991
O16 0.1857 0.8143 0.5004
O17 0.1983 0.8017 0.9054
O18 0.1901 0.8099 0.6957
O19 0.1900 0.8100 0.3058
O20 0.1901 0.8099 0.0941

Entry 4:
DFT (PBE-GGA) results for a relaxed LiMg2 crystal.

Uncorrected energy   -1.733 eV per atom
Magnetization   0.0 μB/f.u.
Volume   64.5 Å³/f.u.

Lattice parameters (Å, degrees): 5.8858 5.8858 7.3770 75.30 75.30 31.58
Sites, in units of the cell vectors:
Li1 0.5277 0.5277 0.1953
Li2 0.4723 0.4723 0.8047
Mg1 0.8082 0.8082 0.1356
Mg2 0.1387 0.1387 0.4711
Mg3 0.8613 0.8613 0.5289
Mg4 0.1918 0.1918 0.8644

Entry 5:
DFT (PBE-GGA) results for a relaxed NaYTiO4 crystal.

Uncorrected energy   -8.045 eV per atom
Magnetization   0.0 μB/f.u.
Volume   90.0 Å³/f.u.

Lattice parameters (Å, degrees): 5.3036 5.4398 12.4713 90.00 90.00 90.00
Sites, in units of the cell vectors:
Na1 0.7500 0.9983 0.5866
Na2 0.7500 0.4983 0.4134
Na3 0.2500 0.0017 0.4134
Na4 0.2500 0.5017 0.5866
Y1 0.7500 0.9747 0.8939
Y2 0.7500 0.4747 0.1061
Y3 0.2500 0.5253 0.8939
Y4 0.2500 0.0253 0.1061
Ti1 0.2500 0.0086 0.7375
Ti2 0.7500 0.4914 0.7375
Ti3 0.2500 0.5086 0.2625
Ti4 0.7500 0.9914 0.2625
O1 0.2500 0.5490 0.4024
O2 0.7500 0.4510 0.5976
O3 0.2500 0.0490 0.5976
O4 0.7500 0.9510 0.4024
O5 0.2500 0.4277 0.0640
O6 0.7500 0.5723 0.9360
O7 0.2500 0.9277 0.9360
O8 0.7500 0.0723 0.0640
O9 0.5000 0.7500 0.7565
O10 0.0000 0.2500 0.2435
O11 0.5000 0.2500 0.2435
O12 0.0000 0.7500 0.7565
O13 0.0000 0.7500 0.2105
O14 0.5000 0.2500 0.7895
O15 0.0000 0.2500 0.7895
O16 0.5000 0.7500 0.2105